(1)
Density functional theory data (PBE with a Hubbard U) for V4Cu3O10 after structural relaxation.

Structure (POSCAR):
```
V4Cu3O10
1.0
10.958 0.000 -4.378
0.000 4.189 0.000
-0.006 0.000 8.819
O V Cu
20 8 6
Direct
0.889 0.000 0.898
0.212 0.000 0.885
0.066 0.500 0.848
0.678 0.000 0.614
0.436 0.000 0.151
0.389 0.500 0.898
0.326 0.000 0.386
0.041 0.000 0.369
0.461 0.500 0.630
0.961 0.000 0.630
0.826 0.500 0.386
0.178 0.500 0.614
0.790 0.000 0.114
0.541 0.500 0.369
0.113 0.000 0.102
0.566 0.000 0.848
0.613 0.500 0.102
0.712 0.500 0.885
0.936 0.500 0.151
0.290 0.500 0.114
0.470 0.500 0.163
0.726 0.000 0.859
0.531 0.500 0.836
0.776 0.500 0.141
0.031 0.000 0.836
0.276 0.000 0.141
0.970 0.000 0.163
0.226 0.500 0.859
0.502 0.000 0.499
0.752 0.250 0.501
0.252 0.750 0.501
0.252 0.250 0.501
0.002 0.500 0.499
0.752 0.750 0.501
```

DFT total energy, eV per formula unit: -115.2
Theoretical density, g cm⁻³: 4.5
V, Å³ per cell: 404.7

=====

(2)
Density functional theory data (PBE with a Hubbard U) for MgMn6O10F2 after structural relaxation.

Structure (POSCAR):
```
MgMn6O10F2
1.0
4.173 2.854 0.627
1.993 -0.002 -7.264
-3.890 4.212 -0.193
O Mn F Mg
10 6 2 1
Direct
0.150 0.909 0.707
0.662 0.756 0.482
0.875 0.442 0.630
0.331 0.252 0.534
0.354 0.573 0.820
0.642 0.424 0.178
0.882 0.771 0.959
0.650 0.092 0.832
0.864 0.094 0.292
0.128 0.242 0.047
0.469 0.994 0.533
0.986 0.013 0.989
0.425 0.319 0.888
0.985 0.317 0.339
0.006 0.680 0.673
0.597 0.690 0.110
0.142 0.575 0.355
0.332 0.921 0.190
0.505 0.500 0.501
```

DFT total energy, eV per formula unit: -131.8
Theoretical density, g cm⁻³: 4.3
SG: P1 (1)
Energy above the most stable polymorph in this dataset, eV/atom: 0.042
V, Å³ per cell: 214.7

=====

(3)
Density functional theory data (PBE with a Hubbard U) for Lu2Mn2O7 after structural relaxation.

Structure (POSCAR):
```
Lu2Mn2O7
1.0
5.765 -3.935 -0.529
3.280 -2.197 5.780
-0.205 -6.766 1.783
O Mn Lu
14 4 4
Direct
0.708 0.292 0.292
0.958 0.542 0.958
0.250 0.250 0.250
0.292 0.292 0.708
0.292 0.708 0.292
0.708 0.708 0.292
0.708 0.292 0.708
0.292 0.708 0.708
0.542 0.542 0.958
0.542 0.958 0.542
0.958 0.542 0.542
0.542 0.958 0.958
0.958 0.958 0.542
0.000 0.000 0.000
0.625 0.625 0.125
0.125 0.625 0.625
0.625 0.625 0.625
0.625 0.125 0.625
0.625 0.125 0.125
0.125 0.125 0.125
0.125 0.625 0.125
0.125 0.125 0.625
```

DFT total energy, eV per formula unit: -86.2
Theoretical density, g cm⁻³: 7.8
SG: Fd-3m (227)
V, Å³ per cell: 242.5

=====

(4)
Density functional theory data (PBE with a Hubbard U) for MgMn2O4 after structural relaxation.

Structure (POSCAR):
```
MgMn2O4
1.0
-3.351 -4.635 -0.788
1.955 -4.614 -2.866
3.666 -4.309 9.319
O Mg Mn
16 4 8
Direct
0.374 0.403 0.066
0.622 0.079 0.328
0.079 0.622 0.828
0.622 0.096 0.817
0.403 0.374 0.566
0.904 0.378 0.683
0.096 0.622 0.317
0.921 0.378 0.172
0.597 0.626 0.434
0.914 0.886 0.079
0.378 0.904 0.183
0.626 0.597 0.934
0.378 0.921 0.672
0.086 0.114 0.921
0.114 0.086 0.421
0.886 0.914 0.579
0.000 0.500 0.000
0.988 0.012 0.250
0.500 0.000 0.500
0.012 0.988 0.750
0.776 0.280 0.518
0.720 0.224 0.982
0.224 0.720 0.482
0.731 0.714 0.264
0.714 0.731 0.764
0.280 0.776 0.018
0.269 0.286 0.736
0.286 0.269 0.236
```

DFT total energy, eV per formula unit: -49.7
Theoretical density, g cm⁻³: 4.2
SG: C2/c (15)
Energy above the most stable polymorph in this dataset, eV/atom: 0.050
V, Å³ per cell: 312.0